First-principles (meta-GGA r2SCAN) data for Nd16Zr16O49 after structural relaxation, as listed in Materials Project.

```
Nd16Zr16O49
1.0
7.472 0.000 0.000
3.732 6.555 0.000
0.008 4.316 24.694
Nd Zr O
16 16 49
direct
0.000 0.000 0.000
0.000 0.510 0.999
0.008 0.507 0.500
0.139 0.733 0.873
0.250 0.004 0.746
0.256 0.497 0.750
0.257 0.014 0.243
0.380 0.248 0.622
0.508 0.490 0.996
0.509 0.506 0.494
0.513 0.000 0.499
0.626 0.758 0.371
0.752 0.000 0.753
0.752 0.512 0.250
0.757 0.019 0.248
0.888 0.244 0.122
0.007 0.999 0.499
0.127 0.251 0.873
0.142 0.745 0.369
0.146 0.251 0.374
0.263 0.512 0.253
0.368 0.760 0.622
0.381 0.759 0.123
0.383 0.249 0.123
0.506 0.995 0.002
0.593 0.258 0.372
0.630 0.253 0.873
0.632 0.741 0.875
0.755 0.497 0.748
0.870 0.757 0.122
0.883 0.755 0.621
0.888 0.239 0.622
0.006 0.461 0.603
0.054 0.332 0.786
0.056 0.465 0.104
0.073 0.888 0.097
0.100 0.812 0.780
0.117 0.803 0.281
0.131 0.753 0.453
0.138 0.174 0.455
0.162 0.695 0.966
0.205 0.053 0.647
0.216 0.147 0.956
0.242 0.967 0.353
0.247 0.452 0.340
0.263 0.054 0.147
0.308 0.389 0.850
0.308 0.960 0.855
0.313 0.831 0.537
0.356 0.317 0.528
0.371 0.268 0.037
0.373 0.273 0.205
0.405 0.664 0.206
0.416 0.189 0.716
0.455 0.666 0.705
0.465 0.552 0.396
0.488 0.474 0.100
0.513 0.547 0.896
0.569 0.897 0.603
0.570 0.458 0.608
0.577 0.329 0.287
0.597 0.833 0.277
0.618 0.750 0.960
0.621 0.333 0.788
0.629 0.751 0.790
0.643 0.164 0.955
0.668 0.695 0.465
0.702 0.052 0.145
0.715 0.167 0.453
0.741 0.959 0.855
0.813 0.833 0.037
0.820 0.955 0.355
0.847 0.419 0.345
0.850 0.316 0.028
0.875 0.240 0.705
0.875 0.829 0.535
0.877 0.268 0.537
0.881 0.677 0.704
0.909 0.214 0.213
0.947 0.546 0.899
0.972 0.655 0.206
```

Electronic total energy: -17.464 eV per atom
Calculated density: 6248 kg/m³
Space group: P1 (1)

First-principles (meta-GGA r2SCAN) data for Nd3Os after structural relaxation, as listed in Materials Project.

```
Nd3Os
1.0
7.471 0.000 0.000
0.000 9.597 0.000
0.000 0.000 6.592
Nd Os
12 4
direct
0.047 0.250 0.138
0.173 0.067 0.673
0.173 0.433 0.673
0.327 0.567 0.173
0.327 0.933 0.173
0.453 0.750 0.638
0.547 0.250 0.362
0.673 0.067 0.827
0.673 0.433 0.827
0.827 0.567 0.327
0.827 0.933 0.327
0.953 0.750 0.862
0.112 0.750 0.457
0.388 0.250 0.957
0.612 0.750 0.043
0.888 0.250 0.543
```

Electronic total energy: -35.457 eV per atom
Calculated density: 8756 kg/m³
Space group: Pnma (62)

First-principles (meta-GGA r2SCAN) data for NdP5 after structural relaxation, as listed in Materials Project.

```
NdP5
1.0
5.061 0.000 0.000
0.000 9.565 0.000
-1.150 0.000 5.340
Nd P
2 10
direct
0.009 0.250 0.350
0.991 0.750 0.650
0.294 0.250 0.902
0.296 0.530 0.401
0.296 0.970 0.401
0.386 0.590 0.048
0.386 0.910 0.048
0.614 0.090 0.952
0.614 0.410 0.952
0.704 0.030 0.599
0.704 0.470 0.599
0.706 0.750 0.098
```

Electronic total energy: -13.050 eV per atom
Calculated density: 3842 kg/m³
Space group: P2_1/m (11)

First-principles (meta-GGA r2SCAN) data for Nd3P6Pd20 after structural relaxation, as listed in Materials Project.

```
Nd3P6Pd20
1.0
0.000 6.143 6.143
6.143 0.000 6.143
6.143 6.143 0.000
Nd P Pd
3 6 20
direct
0.000 0.000 0.000
0.250 0.250 0.250
0.750 0.750 0.750
0.263 0.263 0.737
0.263 0.737 0.263
0.263 0.737 0.737
0.737 0.263 0.263
0.737 0.263 0.737
0.737 0.737 0.263
0.000 0.000 0.347
0.000 0.000 0.653
0.000 0.347 0.000
0.000 0.347 0.653
0.000 0.653 0.000
0.000 0.653 0.347
0.158 0.614 0.614
0.347 0.000 0.000
0.347 0.000 0.653
0.347 0.653 0.000
0.386 0.386 0.386
0.386 0.386 0.842
0.386 0.842 0.386
0.614 0.158 0.614
0.614 0.614 0.158
0.614 0.614 0.614
0.653 0.000 0.000
0.653 0.000 0.347
0.653 0.347 0.000
0.842 0.386 0.386
```

Electronic total energy: -21.473 eV per atom
Calculated density: 9838 kg/m³
Space group: Fm-3m (225)

First-principles (meta-GGA r2SCAN) data for NdP2Pd2 after structural relaxation, as listed in Materials Project.

```
NdP2Pd2
1.0
-2.077 2.077 4.957
2.077 -2.077 4.957
2.077 2.077 -4.957
Nd P Pd
1 2 2
direct
0.000 0.000 0.000
0.388 0.388 0.000
0.612 0.612 0.000
0.250 0.750 0.500
0.750 0.250 0.500
```

Electronic total energy: -19.708 eV per atom
Calculated density: 8136 kg/m³
Space group: I4/mmm (139)

First-principles (meta-GGA r2SCAN) data for NdP2Rh2 after structural relaxation, as listed in Materials Project.

```
NdP2Rh2
1.0
4.156 0.000 0.000
0.000 4.156 0.000
0.000 0.000 9.551
Nd P Rh
2 4 4
direct
0.250 0.250 0.242
0.750 0.750 0.758
0.250 0.250 0.638
0.250 0.750 0.000
0.750 0.250 0.000
0.750 0.750 0.362
0.250 0.250 0.889
0.250 0.750 0.500
0.750 0.250 0.500
0.750 0.750 0.111
```

Electronic total energy: -20.342 eV per atom
Calculated density: 8295 kg/m³
Space group: P4/nmm (129)

First-principles (meta-GGA r2SCAN) data for NdP2Ru2 after structural relaxation, as listed in Materials Project.

```
NdP2Ru2
1.0
-2.019 2.019 5.140
2.019 -2.019 5.140
2.019 2.019 -5.140
Nd P Ru
1 2 2
direct
0.000 0.000 0.000
0.363 0.363 0.000
0.637 0.637 0.000
0.250 0.750 0.500
0.750 0.250 0.500
```

Electronic total energy: -20.759 eV per atom
Calculated density: 8088 kg/m³
Space group: I4/mmm (139)

First-principles (meta-GGA r2SCAN) data for NdPS4 after structural relaxation, as listed in Materials Project.

```
NdPS4
1.0
-5.476 5.476 9.711
5.476 -5.476 9.711
5.476 5.476 -9.711
Nd P S
8 8 32
direct
0.125 0.375 0.750
0.125 0.875 0.250
0.375 0.125 0.250
0.375 0.625 0.750
0.625 0.375 0.250
0.625 0.875 0.750
0.875 0.125 0.750
0.875 0.625 0.250
0.212 0.250 0.462
0.250 0.288 0.038
0.250 0.788 0.538
0.288 0.750 0.038
0.712 0.250 0.962
0.750 0.212 0.462
0.750 0.712 0.962
0.788 0.750 0.538
0.091 0.885 0.480
0.095 0.389 0.980
0.097 0.665 0.935
0.111 0.405 0.520
0.115 0.095 0.206
0.161 0.097 0.931
0.165 0.597 0.435
0.230 0.161 0.565
0.270 0.835 0.931
0.335 0.770 0.431
0.339 0.270 0.935
0.385 0.591 0.980
0.389 0.909 0.294
0.403 0.339 0.569
0.405 0.385 0.294
0.409 0.889 0.794
0.591 0.111 0.206
0.595 0.615 0.706
0.597 0.661 0.431
0.611 0.091 0.706
0.615 0.409 0.020
0.661 0.730 0.065
0.665 0.230 0.569
0.730 0.165 0.069
0.770 0.839 0.435
0.835 0.403 0.565
0.839 0.903 0.069
0.885 0.905 0.794
0.889 0.595 0.480
0.903 0.335 0.065
0.905 0.611 0.020
0.909 0.115 0.520
```

Electronic total energy: -13.011 eV per atom
Calculated density: 3462 kg/m³
Space group: I4_1/acd (142)

First-principles (meta-GGA r2SCAN) data for NdPb3 after structural relaxation, as listed in Materials Project.

```
NdPb3
1.0
4.910 0.000 0.000
0.000 4.910 0.000
0.000 0.000 4.910
Nd Pb
1 3
direct
0.000 0.000 0.000
0.000 0.500 0.500
0.500 0.000 0.500
0.500 0.500 0.000
```

Electronic total energy: -50.039 eV per atom
Calculated density: 10745 kg/m³
Space group: Pm-3m (221)

First-principles (meta-GGA r2SCAN) data for Nd5Pb4 after structural relaxation, as listed in Materials Project.

```
Nd5Pb4
1.0
8.460 0.000 0.000
0.000 16.112 0.000
0.000 0.000 8.545
Nd Pb
20 16
direct
0.038 0.103 0.175
0.038 0.397 0.175
0.116 0.617 0.342
0.116 0.883 0.342
0.217 0.250 0.503
0.283 0.750 0.003
0.384 0.117 0.842
0.384 0.383 0.842
0.462 0.603 0.675
0.462 0.897 0.675
0.538 0.103 0.325
0.538 0.397 0.325
0.616 0.617 0.158
0.616 0.883 0.158
0.717 0.250 0.997
0.783 0.750 0.497
0.884 0.117 0.658
0.884 0.383 0.658
0.962 0.603 0.825
0.962 0.897 0.825
0.082 0.250 0.876
0.154 0.750 0.645
0.226 0.044 0.529
0.226 0.456 0.529
0.274 0.544 0.029
0.274 0.956 0.029
0.346 0.250 0.145
0.418 0.750 0.376
0.582 0.250 0.624
0.654 0.750 0.855
0.726 0.044 0.971
0.726 0.456 0.971
0.774 0.544 0.471
0.774 0.956 0.471
0.846 0.250 0.355
0.918 0.750 0.124
```

Electronic total energy: -42.140 eV per atom
Calculated density: 8840 kg/m³
Space group: Pnma (62)

First-principles (meta-GGA r2SCAN) data for NdPd2Pb after structural relaxation, as listed in Materials Project.

```
NdPd2Pb
1.0
0.000 3.488 3.488
3.488 0.000 3.488
3.488 3.488 0.000
Nd Pd Pb
1 2 1
direct
0.000 0.000 0.000
0.250 0.250 0.250
0.750 0.750 0.750
0.500 0.500 0.500
```

Electronic total energy: -33.589 eV per atom
Calculated density: 11042 kg/m³
Space group: Fm-3m (225)

First-principles (meta-GGA r2SCAN) data for Nd2Pd2Pb after structural relaxation, as listed in Materials Project.

```
Nd2Pd2Pb
1.0
7.993 0.000 0.000
0.000 7.993 0.000
0.000 0.000 3.796
Nd Pd Pb
4 4 2
direct
0.176 0.324 0.000
0.324 0.824 0.000
0.676 0.176 0.000
0.824 0.676 0.000
0.123 0.623 0.500
0.377 0.123 0.500
0.623 0.877 0.500
0.877 0.377 0.500
0.000 0.000 0.500
0.500 0.500 0.500
```

Electronic total energy: -33.076 eV per atom
Calculated density: 9703 kg/m³
Space group: P4/mbm (127)

First-principles (meta-GGA r2SCAN) data for Nd2Zn5Pb after structural relaxation, as listed in Materials Project.

```
Nd2Zn5Pb
1.0
2.220 -8.315 0.000
2.220 8.315 0.000
0.000 0.000 9.091
Nd Zn Pb
4 10 2
direct
0.000 0.000 0.000
0.000 0.000 0.500
0.205 0.795 0.750
0.795 0.205 0.250
0.186 0.814 0.110
0.186 0.814 0.390
0.341 0.659 0.014
0.341 0.659 0.486
0.391 0.609 0.750
0.609 0.391 0.250
0.659 0.341 0.514
0.659 0.341 0.986
0.814 0.186 0.610
0.814 0.186 0.890
0.446 0.554 0.250
0.554 0.446 0.750
```

Electronic total energy: -20.413 eV per atom
Calculated density: 8140 kg/m³
Space group: Cmcm (63)

First-principles (meta-GGA r2SCAN) data for NdPd after structural relaxation, as listed in Materials Project.

```
NdPd
1.0
1.945 -5.391 0.000
1.945 5.391 0.000
0.000 0.000 4.636
Nd Pd
2 2
direct
0.137 0.863 0.750
0.863 0.137 0.250
0.415 0.585 0.750
0.585 0.415 0.250
```

Electronic total energy: -27.034 eV per atom
Calculated density: 8562 kg/m³
Space group: Cmcm (63)

First-principles (meta-GGA r2SCAN) data for Nd3Pd4 after structural relaxation, as listed in Materials Project.

```
Nd3Pd4
1.0
6.838 3.948 1.937
-6.838 3.948 1.937
0.000 -7.896 1.937
Nd Pd
6 8
direct
0.029 0.406 0.281
0.281 0.029 0.406
0.406 0.281 0.029
0.594 0.719 0.971
0.719 0.971 0.594
0.971 0.594 0.719
0.000 0.000 0.000
0.057 0.222 0.555
0.222 0.555 0.057
0.445 0.943 0.778
0.500 0.500 0.500
0.555 0.057 0.222
0.778 0.445 0.943
0.943 0.778 0.445
```

Electronic total energy: -26.572 eV per atom
Calculated density: 9084 kg/m³
Space group: R-3 (148)